# Ba3NdIr2O9 | Materials Project | PBE | relaxed
data_Ba3NdIr2O9
_cell_length_a 6.0041
_cell_length_b 10.3685
_cell_length_c 15.0515
_cell_angle_alpha 90.00
_cell_angle_beta 91.60
_cell_angle_gamma 90.00
_space_group_name_H-M_alt 'C 1 2/c 1'
_space_group_IT_number 15
_space_group_name_Hall '-C 2yc'
loop_
_atom_site_label
_atom_site_fract_x
_atom_site_fract_y
_atom_site_fract_z
_atom_site_occupancy
Ba1 0.0000 0.0033 0.2500 1
Ba2 0.0066 0.3344 0.5995 1
Nd1 0.0000 0.0000 0.0000 1
Ir1 0.0140 0.3334 0.1663 1
O1 0.0000 0.4917 0.2500 1
O2 0.0281 0.1760 0.0927 1
O3 0.2021 0.4079 0.4211 1
O4 0.2358 0.2565 0.2593 1
O5 0.2387 0.0904 0.9002 1
# Energy relative to the elements (kJ per mole of atoms): -239
# M_tot (μB/cell): 3.4
# Energy with MP2020 corrections (eV/atom): -7.330

# Nd2MgGe2 | Materials Project | PBE | relaxed
data_Nd2MgGe2
_cell_length_a 7.4748
_cell_length_b 7.4748
_cell_length_c 4.4080
_cell_angle_alpha 90.00
_cell_angle_beta 90.00
_cell_angle_gamma 90.00
_space_group_name_H-M_alt 'P 4/m b m'
_space_group_IT_number 127
_space_group_name_Hall '-P 4 2ab'
loop_
_atom_site_label
_atom_site_fract_x
_atom_site_fract_y
_atom_site_fract_z
_atom_site_occupancy
Nd1 0.1785 0.3215 0.0000 1
Mg1 0.0000 0.0000 0.5000 1
Ge1 0.1214 0.6214 0.5000 1
# Energy relative to the elements (kJ per mole of atoms): -74

# Tm2IrPt | Materials Project | PBE | relaxed
data_Tm2IrPt
_cell_length_a 6.8346
_cell_length_b 6.8346
_cell_length_c 6.8346
_cell_angle_alpha 90.00
_cell_angle_beta 90.00
_cell_angle_gamma 90.00
_space_group_name_H-M_alt 'F m -3 m'
_space_group_IT_number 225
_space_group_name_Hall '-F 4 2 3'
loop_
_atom_site_label
_atom_site_fract_x
_atom_site_fract_y
_atom_site_fract_z
_atom_site_occupancy
Tm1 0.2500 0.2500 0.2500 1
Ir1 0.0000 0.0000 0.0000 1
Pt1 0.0000 0.0000 0.5000 1
# Energy relative to the elements (kJ per mole of atoms): -106
# M_tot (μB/cell): 0.1

# VI3 | Materials Project | PBE | relaxed
data_VI3
_cell_length_a 10.6606
_cell_length_b 10.6606
_cell_length_c 3.6811
_cell_angle_alpha 90.00
_cell_angle_beta 90.00
_cell_angle_gamma 120.00
_space_group_name_H-M_alt 'P 63/m m c'
_space_group_IT_number 194
_space_group_name_Hall '-P 6c 2c'
loop_
_atom_site_label
_atom_site_fract_x
_atom_site_fract_y
_atom_site_fract_z
_atom_site_occupancy
V1 0.3333 0.6667 0.2500 1
I1 0.2194 0.4389 0.7500 1
# Energy relative to the elements (kJ per mole of atoms): -64
# M_tot (μB/cell): 4.0
# Energy with MP2020 corrections (eV/atom): -4.076